Record 1
VASP calculation (PBE) on an optimized crystal structure of MgSiRh2.

Unit cell a=4.2557 b=4.2557 c=4.2557 alpha=60.00 beta=60.00 gamma=60.00
Sites, in units of the cell vectors:
Mg 0.5000 0.5000 0.5000
Si 0.0000 0.0000 0.0000
Rh 0.2500 0.2500 0.2500
Rh 0.7500 0.7500 0.7500

Summary:
- Crystal system: cubic
- Energy relative to the elements: -756 meV per atom



Record 2
VASP calculation (PBE) on an optimized crystal structure of Hf2Ga3Cu.

Unit cell a=5.3648 b=5.3648 c=6.4758 alpha=53.18 beta=53.18 gamma=45.41
Sites, in units of the cell vectors:
Hf 0.4576 0.4576 0.7988
Hf 0.5446 0.5446 0.2079
Ga 0.1496 0.1496 0.3852
Ga 0.1733 0.1733 0.7902
Ga 0.8408 0.8408 0.2042
Cu 0.8340 0.8340 0.6136

Summary:
- Crystal system: monoclinic
- Energy relative to the elements: -426 meV per atom



Record 3
VASP calculation (PBE) on an optimized crystal structure of BaMg14SnO16.

Unit cell a=8.8480 b=9.0039 c=4.5805 alpha=90.00 beta=90.00 gamma=90.00
Sites, in units of the cell vectors:
Ba 0.0000 0.5000 0.0000
Mg 0.5000 0.0000 0.0000
Mg 0.5000 0.5000 0.0000
Mg 0.0000 0.2439 0.5000
Mg 0.0000 0.7561 0.5000
Mg 0.5000 0.2491 0.5000
Mg 0.5000 0.7509 0.5000
Mg 0.2622 0.0000 0.5000
Mg 0.2666 0.5000 0.5000
Mg 0.7378 0.0000 0.5000
Mg 0.7334 0.5000 0.5000
Mg 0.2660 0.2460 0.0000
Mg 0.2660 0.7540 0.0000
Mg 0.7340 0.2460 0.0000
Mg 0.7340 0.7540 0.0000
Sn 0.0000 0.0000 0.0000
O 0.2734 0.0000 0.0000
O 0.2820 0.5000 0.0000
O 0.7266 0.0000 0.0000
O 0.7180 0.5000 0.0000
O 0.2516 0.2497 0.5000
O 0.2516 0.7503 0.5000
O 0.7484 0.2497 0.5000
O 0.7484 0.7503 0.5000
O 0.0000 0.0000 0.5000
O 0.0000 0.5000 0.5000
O 0.5000 0.0000 0.5000
O 0.5000 0.5000 0.5000
O 0.0000 0.2361 0.0000
O 0.0000 0.7639 0.0000
O 0.5000 0.2462 0.0000
O 0.5000 0.7538 0.0000

Summary:
- Crystal system: orthorhombic
- Energy relative to the elements: -2657 meV per atom
- Excess energy over the best structure of this formula in the dataset: 0.97 eV per formula unit



Number 1: volume 13.625 Å³/atom, VASP energy -6.19 eV per atom, calculated density 7.867 Mg/m³. Number 2: volume 16.818 Å³/atom, VASP energy -5.94 eV per atom, calculated density 10.363 Mg/m³. Number 3: volume 11.404 Å³/atom, VASP energy -5.67 eV per atom, calculated density 3.878 Mg/m³.